# 1
Y2O3 | PBE-GGA | relaxed

Calculated values
* crystal system: orthorhombic

a b c (Å): 5.8239 5.9934 16.8412
angles (deg): 90.00 90.00 90.00
Fractional positions:
Y (0.0001, 0.2111, 0.0701)
Y (0.0001, 0.2889, 0.5701)
Y (0.9999, 0.7111, 0.4299)
Y (0.9999, 0.7889, 0.9299)
Y (0.0034, 0.2346, 0.8182)
Y (0.0034, 0.2654, 0.3182)
Y (0.4966, 0.7346, 0.8182)
Y (0.4966, 0.7654, 0.3182)
Y (0.5001, 0.2111, 0.4299)
Y (0.5001, 0.2889, 0.9299)
Y (0.4999, 0.7111, 0.0701)
Y (0.4999, 0.7889, 0.5701)
Y (0.5034, 0.2346, 0.6818)
Y (0.5034, 0.2654, 0.1818)
Y (0.9966, 0.7346, 0.6818)
Y (0.9966, 0.7654, 0.1818)
O (0.1427, 0.1315, 0.2005)
O (0.1427, 0.3685, 0.7005)
O (0.1443, 0.6537, 0.5529)
O (0.1443, 0.8463, 0.0529)
O (0.2070, 0.5133, 0.8752)
O (0.2070, 0.9867, 0.3752)
O (0.2930, 0.0133, 0.8752)
O (0.2930, 0.4867, 0.3752)
O (0.3557, 0.1537, 0.5529)
O (0.3557, 0.3463, 0.0529)
O (0.3573, 0.6315, 0.2005)
O (0.3573, 0.8685, 0.7005)
O (0.6427, 0.1315, 0.2995)
O (0.6427, 0.3685, 0.7995)
O (0.6443, 0.6537, 0.9471)
O (0.6443, 0.8463, 0.4471)
O (0.7070, 0.5133, 0.6248)
O (0.7070, 0.9867, 0.1248)
O (0.7930, 0.0133, 0.6248)
O (0.7930, 0.4867, 0.1248)
O (0.8557, 0.1537, 0.9471)
O (0.8557, 0.3463, 0.4471)
O (0.8573, 0.6315, 0.2995)
O (0.8573, 0.8685, 0.7995)



# 2
Re3S4O9 | PBE-GGA | relaxed

Calculated values
* crystal system: trigonal

a b c (Å): 10.2477 10.2477 10.2477
angles (deg): 110.79 110.79 110.79
Fractional positions:
Re (0.2077, 0.4225, 0.4129)
Re (0.4129, 0.2077, 0.4225)
Re (0.4225, 0.4129, 0.2077)
Re (0.5775, 0.5871, 0.7923)
Re (0.5871, 0.7923, 0.5775)
Re (0.7923, 0.5775, 0.5871)
S (0.2168, 0.2168, 0.2168)
S (0.3147, 0.3267, 0.5796)
S (0.3267, 0.5796, 0.3147)
S (0.4204, 0.6853, 0.6733)
S (0.5796, 0.3147, 0.3267)
S (0.6733, 0.4204, 0.6853)
S (0.6853, 0.6733, 0.4204)
S (0.7832, 0.7832, 0.7832)
O (0.0066, 0.0896, 0.6156)
O (0.0098, 0.3696, 0.3549)
O (0.0442, 0.6315, 0.1054)
O (0.0896, 0.6156, 0.0066)
O (0.1054, 0.0442, 0.6315)
O (0.3549, 0.0098, 0.3696)
O (0.3685, 0.8946, 0.9558)
O (0.3696, 0.3549, 0.0098)
O (0.3844, 0.9934, 0.9104)
O (0.6156, 0.0066, 0.0896)
O (0.6304, 0.6451, 0.9902)
O (0.6315, 0.1054, 0.0442)
O (0.6451, 0.9902, 0.6304)
O (0.8946, 0.9558, 0.3685)
O (0.9104, 0.3844, 0.9934)
O (0.9558, 0.3685, 0.8946)
O (0.9902, 0.6304, 0.6451)
O (0.9934, 0.9104, 0.3844)



# 3
Sr3MgSi2O8 | PBE-GGA | relaxed

Calculated values
* crystal system: monoclinic

a b c (Å): 5.5259 5.5259 14.0353
angles (deg): 90.78 90.78 59.83
Fractional positions:
Sr (0.0586, 0.9414, 0.7500)
Sr (0.3164, 0.3429, 0.4118)
Sr (0.3429, 0.3164, 0.9118)
Sr (0.6571, 0.6836, 0.0882)
Sr (0.6836, 0.6571, 0.5882)
Sr (0.9414, 0.0586, 0.2500)
Mg (0.0000, 0.0000, 0.0000)
Mg (0.0000, 0.0000, 0.5000)
Si (0.3270, 0.3547, 0.1346)
Si (0.3547, 0.3270, 0.6346)
Si (0.6453, 0.6730, 0.3654)
Si (0.6730, 0.6453, 0.8654)
O (0.1530, 0.2163, 0.0824)
O (0.1538, 0.6874, 0.1134)
O (0.2163, 0.1530, 0.5824)
O (0.2200, 0.6296, 0.5763)
O (0.2621, 0.4012, 0.7451)
O (0.3126, 0.8462, 0.3866)
O (0.3704, 0.7800, 0.9237)
O (0.4012, 0.2621, 0.2451)
O (0.5988, 0.7379, 0.7549)
O (0.6296, 0.2200, 0.0763)
O (0.6874, 0.1538, 0.6134)
O (0.7379, 0.5988, 0.2549)
O (0.7800, 0.3704, 0.4237)
O (0.7837, 0.8470, 0.4176)
O (0.8462, 0.3126, 0.8866)
O (0.8470, 0.7837, 0.9176)



# 4
BaGa12O19 | PBE-GGA | relaxed

Calculated values
* crystal system: hexagonal

a b c (Å): 5.8894 5.8894 23.2976
angles (deg): 90.00 90.00 120.00
Fractional positions:
Ba (0.3333, 0.6667, 0.0000)
Ba (0.6667, 0.3333, 0.5000)
Ga (0.0000, 0.0000, 0.0098)
Ga (0.0000, 0.0000, 0.2511)
Ga (0.0000, 0.0000, 0.5098)
Ga (0.0000, 0.0000, 0.7511)
Ga (0.1674, 0.3349, 0.8597)
Ga (0.1674, 0.8326, 0.8597)
Ga (0.1691, 0.3381, 0.1427)
Ga (0.1691, 0.8309, 0.1427)
Ga (0.3333, 0.6667, 0.2784)
Ga (0.3333, 0.6667, 0.4396)
Ga (0.3333, 0.6667, 0.5614)
Ga (0.3333, 0.6667, 0.7237)
Ga (0.3349, 0.1674, 0.3597)
Ga (0.3381, 0.1691, 0.6427)
Ga (0.6619, 0.8309, 0.1427)
Ga (0.6651, 0.8326, 0.8597)
Ga (0.6667, 0.3333, 0.0614)
Ga (0.6667, 0.3333, 0.2237)
Ga (0.6667, 0.3333, 0.7784)
Ga (0.6667, 0.3333, 0.9396)
Ga (0.8309, 0.1691, 0.6427)
Ga (0.8309, 0.6619, 0.6427)
Ga (0.8326, 0.1674, 0.3597)
Ga (0.8326, 0.6651, 0.3597)
O (0.0000, 0.0000, 0.1011)
O (0.0000, 0.0000, 0.3985)
O (0.0000, 0.0000, 0.6011)
O (0.0000, 0.0000, 0.8985)
O (0.0062, 0.5031, 0.8994)
O (0.0069, 0.5034, 0.1024)
O (0.1548, 0.3097, 0.6984)
O (0.1548, 0.8452, 0.6984)
O (0.1556, 0.3112, 0.3025)
O (0.1556, 0.8444, 0.3025)
O (0.1821, 0.3642, 0.5016)
O (0.1821, 0.8179, 0.5016)
O (0.3097, 0.1548, 0.1984)
O (0.3112, 0.1556, 0.8025)
O (0.3333, 0.6667, 0.1960)
O (0.3333, 0.6667, 0.8056)
O (0.3642, 0.1821, 0.0016)
O (0.4966, 0.5034, 0.1024)
O (0.4969, 0.5031, 0.8994)
O (0.4966, 0.9931, 0.1024)
O (0.4969, 0.9938, 0.8994)
O (0.5031, 0.0062, 0.3994)
O (0.5034, 0.0069, 0.6024)
O (0.5031, 0.4969, 0.3994)
O (0.5034, 0.4966, 0.6024)
O (0.6358, 0.8179, 0.5016)
O (0.6667, 0.3333, 0.3056)
O (0.6667, 0.3333, 0.6960)
O (0.6888, 0.8444, 0.3025)
O (0.6903, 0.8452, 0.6984)
O (0.8179, 0.1821, 0.0016)
O (0.8179, 0.6358, 0.0016)
O (0.8444, 0.1556, 0.8025)
O (0.8444, 0.6888, 0.8025)
O (0.8452, 0.1548, 0.1984)
O (0.8452, 0.6903, 0.1984)
O (0.9931, 0.4966, 0.6024)
O (0.9938, 0.4969, 0.3994)



# 5
Ba3CdGe2O8 | PBE-GGA | relaxed

Calculated values
* crystal system: trigonal

a b c (Å): 5.9346 5.9346 7.6288
angles (deg): 90.00 90.00 120.00
Fractional positions:
Ba (0.0000, 0.0000, 0.0000)
Ba (0.3333, 0.6667, 0.6640)
Ba (0.6667, 0.3333, 0.3360)
Cd (0.0000, 0.0000, 0.5000)
Ge (0.3333, 0.6667, 0.2160)
Ge (0.6667, 0.3333, 0.7840)
O (0.1724, 0.3449, 0.3055)
O (0.1724, 0.8276, 0.3055)
O (0.3333, 0.6667, 0.9886)
O (0.3449, 0.1724, 0.6945)
O (0.6551, 0.8276, 0.3055)
O (0.6667, 0.3333, 0.0114)
O (0.8276, 0.1724, 0.6945)
O (0.8276, 0.6551, 0.6945)



# 6
SrGa2As2 | PBE-GGA | relaxed

Calculated values
* crystal system: monoclinic

a b c (Å): 9.6846 4.0982 12.6500
angles (deg): 90.00 95.61 90.00
Fractional positions:
Sr (0.0000, 0.0000, 0.0000)
Sr (0.1983, 0.5000, 0.2779)
Sr (0.5000, 0.0000, 0.5000)
Sr (0.8017, 0.5000, 0.7221)
Ga (0.1085, 0.0000, 0.5634)
Ga (0.1966, 0.5000, 0.8248)
Ga (0.3955, 0.5000, 0.7195)
Ga (0.3994, 0.0000, 0.0542)
Ga (0.6006, 0.0000, 0.9458)
Ga (0.6045, 0.5000, 0.2805)
Ga (0.8034, 0.5000, 0.1752)
Ga (0.8915, 0.0000, 0.4366)
As (0.0517, 0.0000, 0.7582)
As (0.2423, 0.5000, 0.0260)
As (0.2608, 0.5000, 0.5333)
As (0.4465, 0.0000, 0.2551)
As (0.5535, 0.0000, 0.7449)
As (0.7392, 0.5000, 0.4667)
As (0.7577, 0.5000, 0.9740)
As (0.9483, 0.0000, 0.2418)



# 7
HoGa6Fe6 | PBE-GGA | relaxed

Calculated values
* crystal system: orthorhombic

a b c (Å): 8.5925 6.6780 6.5293
angles (deg): 81.16 50.17 48.67
Fractional positions:
Ho (0.0000, 0.0000, 0.0000)
Ga (0.0000, 0.0000, 0.5000)
Ga (0.0157, 0.3507, 0.6493)
Ga (0.3507, 0.0157, 0.9843)
Ga (0.5000, 0.5000, 0.0000)
Ga (0.6493, 0.9843, 0.0157)
Ga (0.9843, 0.6493, 0.3507)
Fe (0.0000, 0.5000, 0.0000)
Fe (0.2907, 0.4922, 0.5078)
Fe (0.4922, 0.2907, 0.7093)
Fe (0.5000, 0.0000, 0.5000)
Fe (0.5078, 0.7093, 0.2907)
Fe (0.7093, 0.5078, 0.4922)



# 8
GdSi2Rh2 | PBE-GGA | relaxed

Calculated values
* crystal system: tetragonal

a b c (Å): 5.7952 5.7952 5.7952
angles (deg): 138.82 138.82 59.65
Fractional positions:
Gd (0.0000, 0.0000, 0.0000)
Si (0.3776, 0.3776, 0.0000)
Si (0.6224, 0.6224, 0.0000)
Rh (0.2500, 0.7500, 0.5000)
Rh (0.7500, 0.2500, 0.5000)



# 9
Zr2Al3Ni | PBE-GGA | relaxed

Calculated values
* crystal system: trigonal

a b c (Å): 5.1411 5.1411 5.1411
angles (deg): 61.84 61.84 61.84
Fractional positions:
Zr (0.1259, 0.1259, 0.1259)
Zr (0.8741, 0.8741, 0.8741)
Al (0.0000, 0.5000, 0.5000)
Al (0.5000, 0.0000, 0.5000)
Al (0.5000, 0.5000, 0.0000)
Ni (0.5000, 0.5000, 0.5000)



# 10
ThO | PBE-GGA | relaxed

Calculated values
* crystal system: cubic

a b c (Å): 3.6051 3.6051 3.6051
angles (deg): 60.00 60.00 60.00
Fractional positions:
Th (0.0000, 0.0000, 0.0000)
O (0.5000, 0.5000, 0.5000)



# 11
DyP2H9O10 | PBE-GGA | relaxed

Calculated values
* crystal system: orthorhombic

a b c (Å): 9.2184 13.6539 7.2496
angles (deg): 90.00 90.00 90.00
Fractional positions:
Dy (0.2224, 0.2500, 0.2500)
Dy (0.2776, 0.7500, 0.2500)
Dy (0.7224, 0.2500, 0.7500)
Dy (0.7776, 0.7500, 0.7500)
P (0.0400, 0.0753, 0.5901)
P (0.0400, 0.4247, 0.9099)
P (0.4600, 0.5753, 0.9099)
P (0.4600, 0.9247, 0.5901)
P (0.5400, 0.0753, 0.4099)
P (0.5400, 0.4247, 0.0901)
P (0.9600, 0.5753, 0.0901)
P (0.9600, 0.9247, 0.4099)
H (0.0740, 0.2007, 0.9785)
H (0.0740, 0.2993, 0.5215)
H (0.0997, 0.5994, 0.3467)
H (0.0997, 0.9006, 0.1533)
H (0.1349, 0.0962, 0.9381)
H (0.1349, 0.4038, 0.5619)
H (0.1458, 0.6783, 0.6279)
H (0.1458, 0.8217, 0.8721)
H (0.2500, 0.0000, 0.7381)
H (0.2500, 0.5000, 0.7619)
H (0.3542, 0.1783, 0.8721)
H (0.3542, 0.3217, 0.6279)
H (0.3651, 0.5962, 0.5619)
H (0.3651, 0.9038, 0.9381)
H (0.4003, 0.0994, 0.1533)
H (0.4003, 0.4006, 0.3467)
H (0.4260, 0.7007, 0.5215)
H (0.4260, 0.7993, 0.9785)
H (0.5740, 0.2007, 0.0215)
H (0.5740, 0.2993, 0.4785)
H (0.5997, 0.5994, 0.6533)
H (0.5997, 0.9006, 0.8467)
H (0.6349, 0.0962, 0.0619)
H (0.6349, 0.4038, 0.4381)
H (0.6458, 0.6783, 0.3721)
H (0.6458, 0.8217, 0.1279)
H (0.7500, 0.0000, 0.2619)
H (0.7500, 0.5000, 0.2381)
H (0.8542, 0.1783, 0.1279)
H (0.8542, 0.3217, 0.3721)
H (0.8651, 0.5962, 0.4381)
H (0.8651, 0.9038, 0.0619)
H (0.9003, 0.0994, 0.8467)
H (0.9003, 0.4006, 0.6533)
H (0.9260, 0.7007, 0.4785)
H (0.9260, 0.7993, 0.0215)
O (0.0752, 0.6492, 0.2554)
O (0.0752, 0.8508, 0.2446)
O (0.0885, 0.1659, 0.4787)
O (0.0885, 0.3341, 0.0213)
O (0.1090, 0.5163, 0.0552)
O (0.1090, 0.9837, 0.4448)
O (0.1222, 0.1457, 0.0448)
O (0.1222, 0.3543, 0.4552)
O (0.1373, 0.0433, 0.7592)
O (0.1373, 0.4567, 0.7408)
O (0.3627, 0.5433, 0.7408)
O (0.3627, 0.9567, 0.7592)
O (0.3778, 0.6457, 0.4552)
O (0.3778, 0.8543, 0.0448)
O (0.3910, 0.0163, 0.4448)
O (0.3910, 0.4837, 0.0552)
O (0.4115, 0.6659, 0.0213)
O (0.4115, 0.8341, 0.4787)
O (0.4248, 0.1492, 0.2446)
O (0.4248, 0.3508, 0.2554)
O (0.5752, 0.6492, 0.7446)
O (0.5752, 0.8508, 0.7554)
O (0.5885, 0.1659, 0.5213)
O (0.5885, 0.3341, 0.9787)
O (0.6090, 0.5163, 0.9448)
O (0.6090, 0.9837, 0.5552)
O (0.6222, 0.1457, 0.9552)
O (0.6222, 0.3543, 0.5448)
O (0.6373, 0.0433, 0.2408)
O (0.6373, 0.4567, 0.2592)
O (0.8627, 0.5433, 0.2592)
O (0.8627, 0.9567, 0.2408)
O (0.8778, 0.6457, 0.5448)
O (0.8778, 0.8543, 0.9552)
O (0.8910, 0.0163, 0.5552)
O (0.8910, 0.4837, 0.9448)
O (0.9115, 0.6659, 0.9787)
O (0.9115, 0.8341, 0.5213)
O (0.9248, 0.1492, 0.7554)
O (0.9248, 0.3508, 0.7446)



# 12
Rb2S2O7 | PBE-GGA | relaxed

Calculated values
* crystal system: monoclinic

a b c (Å): 7.7699 7.7420 15.2922
angles (deg): 90.00 119.96 90.00
Fractional positions:
Rb (0.1770, 0.2258, 0.3693)
Rb (0.1770, 0.2742, 0.8693)
Rb (0.2978, 0.1231, 0.6570)
Rb (0.2978, 0.3769, 0.1570)
Rb (0.7022, 0.6231, 0.8430)
Rb (0.7022, 0.8769, 0.3430)
Rb (0.8230, 0.7258, 0.1307)
Rb (0.8230, 0.7742, 0.6307)
S (0.2610, 0.6737, 0.5795)
S (0.2610, 0.8263, 0.0795)
S (0.2669, 0.7241, 0.3876)
S (0.2669, 0.7759, 0.8876)
S (0.7331, 0.2241, 0.1124)
S (0.7331, 0.2759, 0.6124)
S (0.7390, 0.1737, 0.9205)
S (0.7390, 0.3263, 0.4205)
O (0.0851, 0.7164, 0.0415)
O (0.0851, 0.7836, 0.5415)
O (0.0911, 0.6653, 0.8485)
O (0.0911, 0.8347, 0.3485)
O (0.2510, 0.5133, 0.6260)
O (0.2510, 0.9867, 0.1260)
O (0.2531, 0.5918, 0.3164)
O (0.2531, 0.9082, 0.8164)
O (0.2651, 0.5984, 0.4768)
O (0.2651, 0.9016, 0.9768)
O (0.4466, 0.7301, 0.1377)
O (0.4466, 0.7699, 0.6377)
O (0.4532, 0.6806, 0.9365)
O (0.4532, 0.8194, 0.4365)
O (0.5468, 0.1806, 0.5635)
O (0.5468, 0.3194, 0.0635)
O (0.5534, 0.2301, 0.3623)
O (0.5534, 0.2699, 0.8623)
O (0.7349, 0.0984, 0.0232)
O (0.7349, 0.4016, 0.5232)
O (0.7469, 0.0918, 0.1836)
O (0.7469, 0.4082, 0.6836)
O (0.7490, 0.0133, 0.8740)
O (0.7490, 0.4867, 0.3740)
O (0.9089, 0.1653, 0.6515)
O (0.9089, 0.3347, 0.1515)
O (0.9149, 0.2164, 0.4585)
O (0.9149, 0.2836, 0.9585)



| no. | final energy (eV/atom) |
| --- | --- |
| 1 | -9.051 |
| 2 | -6.519 |
| 3 | -7.064 |
| 4 | -6.061 |
| 5 | -6.140 |
| 6 | -4.061 |
| 7 | -5.833 |
| 8 | -9.039 |
| 9 | -6.266 |
| 10 | -8.830 |
| 11 | -5.603 |
| 12 | -5.758 |